Entry 1:
Material: MnCoP2
Method: DFT, PBE
State: optimized geometry

Calculated values
Calculated volume (Å³/cell): 91.7
DFT formation energy (eV/atom): -0.61

Unit cell a=3.0664 b=5.7632 c=5.1903 alpha=90.00 beta=90.00 gamma=90.00
Space group Pmc2_1 (No. 26)
Symmetry-distinct sites (fractional):
Mn 0.0000 0.0550 0.0000 x2
Co 0.5000 0.4563 0.9966 x2
P 0.0000 0.3168 0.6836 x2
P 0.5000 0.1810 0.3032 x2


Entry 2:
Material: CrIn2S4
Method: DFT, PBE
State: optimized geometry

Calculated values
Calculated volume (Å³/cell): 622.9
M_tot (Bohr magnetons per cell): 13.49
DFT formation energy (eV/atom): -0.84

Unit cell a=7.4969 b=7.7581 c=10.7095 alpha=90.00 beta=90.00 gamma=90.00
Space group Imma (No. 74)
Symmetry-distinct sites (fractional):
Cr 0.2500 0.2500 0.2500 x4
In 0.0000 0.0000 0.0000 x4
In 0.0000 0.2500 0.6340 x4
S 0.0000 0.0414 0.2456 x8
S 0.2380 0.2500 0.0216 x8


Entry 3:
Material: KNb2InO6
Method: DFT, PBE
State: optimized geometry

Calculated values
Calculated volume (Å³/cell): 542.0
M_tot (Bohr magnetons per cell): 0.00
DFT formation energy (eV/atom): -2.58

Unit cell a=8.1533 b=8.1533 c=8.1533 alpha=90.00 beta=90.00 gamma=90.00
Space group Fm-3m (No. 225)
Symmetry-distinct sites (fractional):
K 0.0000 0.0000 0.0000 x4
Nb 0.2500 0.2500 0.2500 x8
In 0.0000 0.0000 0.5000 x4
O 0.0000 0.2500 0.2500 x24